Record 1
Mg14SiSnO16 after structural relaxation. Source: the Materials Project database, functional PBE.

Calculated values
E_tot   -5.821 eV/atom
ΔH_f (0 K)   -86.26 eV/f.u.
Offset from the most stable computed form   0.2 kJ/mol of atoms
Theoretical density   3.7 Mg/m³

Cell: 8.720 8.720 4.389 Å, 90.00 90.00 90.00°
Space group P4/mmm (No. 123)
One atom of each set of equivalent atoms:
Mg 0.000 0.252 0.000 [4 per cell]
Mg 0.000 0.500 0.500 [2 per cell]
Mg 0.241 0.500 0.000 [4 per cell]
Mg 0.247 0.247 0.500 [4 per cell]
Si 0.000 0.000 0.500 [1 per cell]
Sn 0.500 0.500 0.500 [1 per cell]
O 0.000 0.000 0.000 [1 per cell]
O 0.000 0.257 0.500 [4 per cell]
O 0.000 0.500 0.000 [2 per cell]
O 0.229 0.500 0.500 [4 per cell]
O 0.250 0.250 0.000 [4 per cell]
O 0.500 0.500 0.000 [1 per cell]

=====

Record 2
Mg6TiSiO8 after structural relaxation. Source: the Materials Project database, functional PBE.

Calculated values
E_tot   -6.187 eV/atom
ΔH_f (0 K)   -41.98 eV/f.u.
Offset from the most stable computed form   0.0 kJ/mol of atoms
Theoretical density   3.6 Mg/m³

Cell: 4.318 4.318 8.732 Å, 90.00 90.00 90.00°
Space group P4/mmm (No. 123)
One atom of each set of equivalent atoms:
Mg 0.000 0.000 0.000 [1 per cell]
Mg 0.000 0.500 0.244 [4 per cell]
Mg 0.500 0.500 0.000 [1 per cell]
Ti 0.000 0.000 0.500 [1 per cell]
Si 0.500 0.500 0.500 [1 per cell]
O 0.000 0.000 0.244 [2 per cell]
O 0.000 0.500 0.000 [2 per cell]
O 0.000 0.500 0.500 [2 per cell]
O 0.500 0.500 0.237 [2 per cell]

=====

Which value of offset from the most stable computed form does entry 2 give? 0.0 kJ/mol of atoms